DFT (PBE) results for an optimized crystal structure of SnBr2.

Properties
ρ ... 4.02 g/cm³
Formation energy from the elements ... -1.136 eV/atom

Lattice parameters (Å, degrees): 4.4013 4.4013 6.8598 90.00 90.00 120.00
Space group P-3m1 (No. 164)
Symmetry-distinct sites (fractional):
Sn (0.0000, 0.0000, 0.0000) [1 per cell]
Br (0.3333, 0.6667, 0.2413) [2 per cell]

=====

DFT (PBE) results for an optimized crystal structure of SnBr2.

Properties
ρ ... 4.29 g/cm³
Formation energy from the elements ... -1.133 eV/atom

Lattice parameters (Å, degrees): 9.233 4.312 10.820 90.00 90.00 90.00
Space group Pnma (No. 62)
Symmetry-distinct sites (fractional):
Sn (0.107, 0.250, 0.163) [4 per cell]
Br (0.007, 0.250, 0.688) [4 per cell]
Br (0.163, 0.750, 0.951) [4 per cell]